(1)
# Na4Ga3Si3ClO12 PBE optimized geometry
data_Na4Ga3Si3ClO12
_chemical_formula_sum 'Na8 Ga6 Si6 Cl2 O24'
_space_group_name_H-M_alt 'P 1'
_space_group_IT_number 1
_cell_length_a 9.0520
_cell_length_b 9.0520
_cell_length_c 9.0520
_cell_angle_alpha 90.00
_cell_angle_beta 90.00
_cell_angle_gamma 90.00
loop_
_space_group_symop_operation_xyz
'x,y,z'
loop_
_atom_site_label
_atom_site_fract_x
_atom_site_fract_y
_atom_site_fract_z
Na1 0.1733 0.1733 0.1733
Na2 0.1733 0.8267 0.8267
Na3 0.3267 0.3267 0.6733
Na4 0.3267 0.6733 0.3267
Na5 0.6733 0.3267 0.3267
Na6 0.6733 0.6733 0.6733
Na7 0.8267 0.1733 0.8267
Na8 0.8267 0.8267 0.1733
Ga1 0.0000 0.2500 0.5000
Ga2 0.0000 0.7500 0.5000
Ga3 0.2500 0.5000 0.0000
Ga4 0.5000 0.0000 0.2500
Ga5 0.5000 0.0000 0.7500
Ga6 0.7500 0.5000 0.0000
Si1 0.0000 0.5000 0.2500
Si2 0.0000 0.5000 0.7500
Si3 0.2500 0.0000 0.5000
Si4 0.5000 0.2500 0.0000
Si5 0.5000 0.7500 0.0000
Si6 0.7500 0.0000 0.5000
Cl1 0.0000 0.0000 0.0000
Cl2 0.5000 0.5000 0.5000
O1 0.0726 0.3657 0.6515
O2 0.0726 0.6343 0.3485
O3 0.1343 0.4274 0.1515
O4 0.1343 0.5726 0.8485
O5 0.1515 0.1343 0.4274
O6 0.1515 0.8657 0.5726
O7 0.3485 0.0726 0.6343
O8 0.3485 0.9274 0.3657
O9 0.3657 0.3485 0.9274
O10 0.3657 0.6515 0.0726
O11 0.4274 0.1515 0.1343
O12 0.4274 0.8485 0.8657
O13 0.5726 0.1515 0.8657
O14 0.5726 0.8485 0.1343
O15 0.6343 0.3485 0.0726
O16 0.6343 0.6515 0.9274
O17 0.6515 0.0726 0.3657
O18 0.6515 0.9274 0.6343
O19 0.8485 0.1343 0.5726
O20 0.8485 0.8657 0.4274
O21 0.8657 0.4274 0.8485
O22 0.8657 0.5726 0.1515
O23 0.9274 0.3657 0.3485
O24 0.9274 0.6343 0.6515
# Corrected total energy (MP2020 scheme), hartree per atom: -0.24451
# Calculated formation energy, eV per atom: -2.659
# Piezoelectric modulus e_max, C/m²: 0.2
# M_tot, μB per formula unit: 0.00
# Crystal system: cubic

---

(2)
# LaZnAsO PBE optimized geometry
data_LaZnAsO
_chemical_formula_sum 'La2 Zn2 As2 O2'
_space_group_name_H-M_alt 'P 1'
_space_group_IT_number 1
_cell_length_a 4.1106
_cell_length_b 4.1106
_cell_length_c 9.1671
_cell_angle_alpha 90.00
_cell_angle_beta 90.00
_cell_angle_gamma 90.00
loop_
_space_group_symop_operation_xyz
'x,y,z'
loop_
_atom_site_label
_atom_site_fract_x
_atom_site_fract_y
_atom_site_fract_z
La1 0.2500 0.2500 0.1329
La2 0.7500 0.7500 0.8671
Zn1 0.2500 0.7500 0.5000
Zn2 0.7500 0.2500 0.5000
As1 0.2500 0.2500 0.6711
As2 0.7500 0.7500 0.3289
O1 0.2500 0.7500 0.0000
O2 0.7500 0.2500 0.0000
# Corrected total energy (MP2020 scheme), hartree per atom: -0.22101
# Calculated formation energy, eV per atom: -2.063
# M_tot, μB per formula unit: 0.00
# Crystal system: tetragonal

---

(3)
# LuMgSe3 PBE optimized geometry
data_LuMgSe3
_chemical_formula_sum 'Lu2 Mg2 Se6'
_space_group_name_H-M_alt 'P 1'
_space_group_IT_number 1
_cell_length_a 7.3105
_cell_length_b 7.3105
_cell_length_c 6.8570
_cell_angle_alpha 103.96
_cell_angle_beta 103.96
_cell_angle_gamma 118.98
loop_
_space_group_symop_operation_xyz
'x,y,z'
loop_
_atom_site_label
_atom_site_fract_x
_atom_site_fract_y
_atom_site_fract_z
Lu1 0.2001 0.2001 0.3092
Lu2 0.7999 0.7999 0.6908
Mg1 0.3344 0.6656 0.0000
Mg2 0.6656 0.3344 0.0000
Se1 0.1204 0.7836 0.2171
Se2 0.2164 0.8796 0.7829
Se3 0.4628 0.4628 0.7419
Se4 0.5372 0.5372 0.2581
Se5 0.7836 0.1204 0.2171
Se6 0.8796 0.2164 0.7829
# Corrected total energy (MP2020 scheme), hartree per atom: -0.17279
# Calculated formation energy, eV per atom: -1.380
# M_tot, μB per formula unit: 0.00
# Crystal system: monoclinic

---

(4)
# NaZr2In2P3S3O24 PBE optimized geometry
data_NaZr2In2P3S3O24
_chemical_formula_sum 'Na3 Zr6 In6 P9 S9 O72'
_space_group_name_H-M_alt 'P 1'
_space_group_IT_number 1
_cell_length_a 8.9115
_cell_length_b 8.9156
_cell_length_c 23.3844
_cell_angle_alpha 89.93
_cell_angle_beta 89.82
_cell_angle_gamma 60.12
loop_
_space_group_symop_operation_xyz
'x,y,z'
loop_
_atom_site_label
_atom_site_fract_x
_atom_site_fract_y
_atom_site_fract_z
Na1 0.0000 0.0000 0.0000
Na2 0.0241 0.9940 0.5033
Na3 0.3502 0.3346 0.8408
Zr1 0.3447 0.3199 0.1861
Zr2 0.3524 0.3186 0.6903
Zr3 0.6705 0.6606 0.5252
Zr4 0.6785 0.6580 0.8152
Zr5 0.6810 0.6510 0.3186
Zr6 0.6936 0.6518 0.0246
In1 0.0032 0.9866 0.8556
In2 0.0064 0.9968 0.1496
In3 0.0178 0.9930 0.3572
In4 0.0218 0.9836 0.6545
In5 0.3370 0.3267 0.4802
In6 0.3480 0.3255 0.9826
P1 0.0593 0.3189 0.0847
P2 0.3029 0.6998 0.7539
P3 0.3380 0.0398 0.5845
P4 0.3864 0.6581 0.4207
P5 0.6378 0.0354 0.0842
P6 0.6807 0.3667 0.9197
P7 0.7231 0.9915 0.7525
P8 0.9670 0.3677 0.4210
P9 0.9736 0.6563 0.9192
S1 0.0134 0.2831 0.7534
S2 0.0130 0.7026 0.2532
S3 0.0546 0.6195 0.5851
S4 0.3045 0.9905 0.2525
S5 0.3438 0.6196 0.0861
S6 0.3871 0.9488 0.9197
S7 0.6401 0.3192 0.5849
S8 0.6813 0.9475 0.4197
S9 0.7203 0.2821 0.2534
O1 0.0291 0.7960 0.5908
O2 0.0385 0.1595 0.0930
O3 0.0455 0.7782 0.3044
O4 0.0488 0.1748 0.8042
O5 0.1368 0.5131 0.6365
O6 0.1430 0.3545 0.4241
O7 0.1457 0.3469 0.1393
O8 0.1513 0.4902 0.9229
O9 0.1624 0.5437 0.5337
O10 0.1661 0.5288 0.2434
O11 0.1677 0.3067 0.7453
O12 0.1693 0.2914 0.0319
O13 0.1793 0.0154 0.5914
O14 0.1896 0.7761 0.8069
O15 0.1906 0.7930 0.0944
O16 0.1954 0.0272 0.3038
O17 0.2072 0.8222 0.4155
O18 0.2142 0.9655 0.9151
O19 0.2300 0.9564 0.2017
O20 0.2349 0.8059 0.6990
O21 0.3110 0.5454 0.0351
O22 0.3124 0.1484 0.5308
O23 0.3243 0.5159 0.7436
O24 0.3246 0.1451 0.2434
O25 0.3644 0.1274 0.6379
O26 0.3679 0.5105 0.1381
O27 0.3736 0.1212 0.9222
O28 0.3792 0.4927 0.4273
O29 0.4718 0.8451 0.9713
O30 0.4773 0.6866 0.4729
O31 0.4791 0.8394 0.2624
O32 0.4851 0.6744 0.7644
O33 0.4922 0.8638 0.8678
O34 0.4976 0.6416 0.3665
O35 0.5000 0.6341 0.0798
O36 0.5043 0.8603 0.5761
O37 0.5160 0.3506 0.9228
O38 0.5247 0.1267 0.1390
O39 0.5265 0.1177 0.4247
O40 0.5311 0.3477 0.6365
O41 0.5363 0.1526 0.7436
O42 0.5456 0.3058 0.2437
O43 0.5588 0.1500 0.0321
O44 0.5608 0.2940 0.5335
O45 0.6463 0.8597 0.0773
O46 0.6541 0.4785 0.5787
O47 0.6609 0.4780 0.8662
O48 0.6609 0.8622 0.3677
O49 0.6951 0.4621 0.9735
O50 0.6992 0.8343 0.7632
O51 0.7003 0.4571 0.2624
O52 0.7059 0.8391 0.4708
O53 0.7909 0.0381 0.8053
O54 0.7945 0.1740 0.3046
O55 0.8142 0.1685 0.5921
O56 0.8207 0.0089 0.0927
O57 0.8275 0.9629 0.6975
O58 0.8295 0.2102 0.2024
O59 0.8395 0.9612 0.4142
O60 0.8484 0.1896 0.9162
O61 0.8512 0.4623 0.4732
O62 0.8587 0.6823 0.2628
O63 0.8610 0.6770 0.9733
O64 0.8616 0.4572 0.7612
O65 0.8753 0.4790 0.3664
O66 0.8792 0.6410 0.8662
O67 0.8797 0.4833 0.0792
O68 0.8833 0.6319 0.5774
O69 0.9767 0.1903 0.4157
O70 0.9794 0.8107 0.2020
O71 0.9827 0.2118 0.7009
O72 0.9888 0.8210 0.9182
# Corrected total energy (MP2020 scheme), hartree per atom: -0.27348
# Calculated formation energy, eV per atom: -2.547
# M_tot, μB per formula unit: 0.00
# Crystal system: triclinic

---

(5)
# BaMg14Cu PBE optimized geometry
data_BaMg14Cu
_chemical_formula_sum 'Ba1 Mg14 Cu1'
_space_group_name_H-M_alt 'P 1'
_space_group_IT_number 1
_cell_length_a 6.5643
_cell_length_b 6.5643
_cell_length_c 10.4528
_cell_angle_alpha 90.00
_cell_angle_beta 90.00
_cell_angle_gamma 120.00
loop_
_space_group_symop_operation_xyz
'x,y,z'
loop_
_atom_site_label
_atom_site_fract_x
_atom_site_fract_y
_atom_site_fract_z
Ba1 0.0000 0.0000 0.0000
Mg1 0.0136 0.5068 0.0000
Mg2 0.1659 0.3317 0.2752
Mg3 0.1659 0.3317 0.7248
Mg4 0.1659 0.8341 0.2752
Mg5 0.1659 0.8341 0.7248
Mg6 0.4932 0.5068 0.0000
Mg7 0.4932 0.9864 0.0000
Mg8 0.5047 0.0094 0.5000
Mg9 0.5047 0.4953 0.5000
Mg10 0.6667 0.3333 0.2431
Mg11 0.6667 0.3333 0.7569
Mg12 0.6683 0.8341 0.2752
Mg13 0.6683 0.8341 0.7248
Mg14 0.9906 0.4953 0.5000
Cu1 0.0000 0.0000 0.5000
# Calculated formation energy, eV per atom: 0.101
# M_tot, μB per formula unit: 0.00
# Crystal system: hexagonal

---

(6)
# CuC3N2O5 PBE optimized geometry
data_CuC3N2O5
_chemical_formula_sum 'Cu2 C6 N4 O10'
_space_group_name_H-M_alt 'P 1'
_space_group_IT_number 1
_cell_length_a 6.9507
_cell_length_b 7.1135
_cell_length_c 8.6540
_cell_angle_alpha 105.43
_cell_angle_beta 90.65
_cell_angle_gamma 112.19
loop_
_space_group_symop_operation_xyz
'x,y,z'
loop_
_atom_site_label
_atom_site_fract_x
_atom_site_fract_y
_atom_site_fract_z
Cu1 0.1111 0.1811 0.1600
Cu2 0.8889 0.8189 0.8400
C1 0.2107 0.8304 0.0048
C2 0.2168 0.1912 0.8401
C3 0.2829 0.5830 0.4166
C4 0.7171 0.4170 0.5834
C5 0.7832 0.8088 0.1599
C6 0.7893 0.1696 0.9952
N1 0.1799 0.7133 0.4342
N2 0.3619 0.7621 0.5413
N3 0.6381 0.2379 0.4587
N4 0.8201 0.2867 0.5658
O1 0.1348 0.0539 0.7197
O2 0.1405 0.6783 0.8899
O3 0.3006 0.4176 0.3414
O4 0.3055 0.3342 0.9562
O5 0.3134 0.9619 0.1241
O6 0.6866 0.0381 0.8759
O7 0.6945 0.6658 0.0438
O8 0.6994 0.5824 0.6586
O9 0.8595 0.3217 0.1101
O10 0.8652 0.9461 0.2803
# Corrected total energy (MP2020 scheme), hartree per atom: -0.26607
# Calculated formation energy, eV per atom: -0.586
# M_tot, μB per formula unit: 1.00
# Crystal system: triclinic

---

Question: The lowest calculated formation energy belongs to which entry?
Answer: Na4Ga3Si3ClO12

---

Repeat the fifth record exactly.
# BaMg14Cu PBE optimized geometry
data_BaMg14Cu
_chemical_formula_sum 'Ba1 Mg14 Cu1'
_space_group_name_H-M_alt 'P 1'
_space_group_IT_number 1
_cell_length_a 6.5643
_cell_length_b 6.5643
_cell_length_c 10.4528
_cell_angle_alpha 90.00
_cell_angle_beta 90.00
_cell_angle_gamma 120.00
loop_
_space_group_symop_operation_xyz
'x,y,z'
loop_
_atom_site_label
_atom_site_fract_x
_atom_site_fract_y
_atom_site_fract_z
Ba1 0.0000 0.0000 0.0000
Mg1 0.0136 0.5068 0.0000
Mg2 0.1659 0.3317 0.2752
Mg3 0.1659 0.3317 0.7248
Mg4 0.1659 0.8341 0.2752
Mg5 0.1659 0.8341 0.7248
Mg6 0.4932 0.5068 0.0000
Mg7 0.4932 0.9864 0.0000
Mg8 0.5047 0.0094 0.5000
Mg9 0.5047 0.4953 0.5000
Mg10 0.6667 0.3333 0.2431
Mg11 0.6667 0.3333 0.7569
Mg12 0.6683 0.8341 0.2752
Mg13 0.6683 0.8341 0.7248
Mg14 0.9906 0.4953 0.5000
Cu1 0.0000 0.0000 0.5000
# Calculated formation energy, eV per atom: 0.101
# M_tot, μB per formula unit: 0.00
# Crystal system: hexagonal

---

Question: What is the formula in the second record?
Answer: LaZnAsO

---

Question: Among the records above, which one has the lowest calculated formation energy?
Answer: Na4Ga3Si3ClO12